Na2Nb5Al3Si6S6O48 GGA-PBE optimized geometry; energy = -1537.0 eV/cell; ρ = 2859 kg/m3; space-group type = P1, No. 1; DFT formation energy = -2.6578 eV per atom; V = 2998 Å³/cell
1.0
8.753 0.000 0.000
-0.080 15.150 0.000
-0.008 -0.001 22.607
Na Nb Al Si S O
6 15 9 18 18 144
Cartesian
0.000 0.000 0.000 Na
0.008 0.050 11.186 Na
4.204 7.602 22.589 Na
4.254 2.479 7.707 Na
4.282 7.510 11.334 Na
8.644 10.131 18.999 Na
8.694 10.090 4.504 Nb
-0.018 5.048 0.711 Nb
-0.009 5.070 7.196 Nb
0.074 5.013 12.006 Nb
4.116 12.614 0.568 Nb
4.178 12.753 7.085 Nb
4.234 12.603 18.409 Nb
4.332 2.628 22.031 Nb
4.348 7.687 14.634 Nb
4.376 7.506 3.323 Nb
4.423 2.548 15.673 Nb
8.584 0.012 14.679 Nb
8.660 10.025 10.762 Nb
8.704 5.035 18.519 Nb
8.663 15.025 3.492 Nb
0.167 10.186 22.307 Al
0.167 15.100 8.161 Al
4.214 12.719 11.791 Al
4.279 2.636 10.968 Al
4.280 7.747 19.496 Al
4.317 7.563 8.107 Al
4.418 2.472 4.348 Al
8.509 10.023 15.697 Al
8.646 0.044 19.537 Al
1.090 12.244 1.972 Si
1.162 8.025 1.970 Si
1.274 2.748 9.551 Si
1.362 7.190 9.504 Si
1.785 12.733 9.622 Si
2.513 0.217 5.802 Si
2.516 5.226 20.826 Si
2.878 14.803 20.752 Si
2.943 10.365 20.805 Si
3.135 4.669 13.282 Si
5.552 4.556 2.085 Si
5.636 9.696 17.186 Si
6.232 0.022 17.247 Si
6.751 2.533 13.128 Si
6.742 7.561 5.911 Si
7.436 13.030 5.964 Si
7.530 2.799 20.856 Si
7.515 7.987 13.344 Si
1.089 12.948 17.070 S
1.201 2.149 17.121 S
1.777 7.651 17.093 S
1.858 2.516 2.055 S
2.402 10.223 13.326 S
3.129 0.302 13.255 S
3.105 5.381 5.793 S
3.078 9.707 5.835 S
5.470 10.469 9.574 S
5.542 5.465 17.127 S
5.594 0.392 2.022 S
5.521 14.829 9.610 S
6.114 5.062 9.536 S
6.211 10.139 1.951 S
6.837 12.599 20.855 S
7.322 12.239 13.294 S
7.401 2.165 5.799 S
7.386 7.295 20.859 S
0.473 1.371 9.312 O
0.423 11.651 0.658 O
0.482 13.796 2.122 O
0.513 8.641 3.336 O
0.503 13.554 18.262 O
0.562 3.512 17.236 O
0.562 3.558 10.819 O
0.554 6.510 1.779 O
0.527 11.591 16.837 O
0.566 6.569 8.203 O
0.609 1.553 15.878 O
0.614 8.660 9.724 O
0.784 13.960 9.433 O
0.869 6.457 17.272 O
0.846 11.384 9.872 O
0.915 1.363 2.180 O
0.864 11.377 3.322 O
0.894 8.877 0.653 O
0.877 13.808 15.853 O
0.940 3.794 8.259 O
0.968 1.345 18.306 O
0.942 8.867 16.918 O
1.006 3.744 1.913 O
1.016 6.326 10.823 O
1.301 14.907 20.540 O
1.336 10.297 20.946 O
1.498 4.914 19.527 O
1.518 4.852 13.196 O
1.539 5.373 22.117 O
1.493 14.985 4.469 O
1.603 0.383 7.081 O
1.575 9.927 12.126 O
1.641 0.134 13.496 O
1.616 5.258 5.911 O
1.604 9.880 5.706 O
1.596 10.401 14.538 O
2.577 7.360 15.878 O
2.629 2.280 0.825 O
2.608 7.812 18.293 O
2.575 12.841 17.187 O
2.650 2.325 16.923 O
2.679 2.703 3.246 O
2.724 12.403 8.290 O
2.736 12.449 1.834 O
2.742 12.872 10.899 O
2.786 7.825 2.238 O
2.889 2.650 9.758 O
2.928 7.426 9.244 O
3.280 1.164 12.085 O
3.249 8.948 13.461 O
3.228 13.879 22.112 O
3.290 6.232 4.567 O
3.307 3.804 20.995 O
3.297 8.887 7.023 O
3.280 11.385 19.564 O
3.360 3.769 14.651 O
3.328 11.343 13.102 O
3.343 13.971 5.964 O
3.506 1.438 5.485 O
3.499 6.427 20.506 O
3.653 1.070 21.164 O
3.634 9.125 4.599 O
3.693 0.914 14.509 O
3.666 6.028 6.987 O
3.656 11.121 22.143 O
3.702 4.053 5.622 O
3.702 6.191 13.558 O
3.686 11.059 5.964 O
3.680 14.127 13.090 O
3.681 14.128 19.522 O
3.715 8.963 20.694 O
3.806 4.026 11.999 O
4.856 3.971 0.733 O
4.923 0.982 9.725 O
4.908 6.107 2.192 O
4.909 9.023 15.833 O
4.912 9.106 9.449 O
4.910 11.161 17.348 O
4.941 6.040 18.311 O
4.901 14.174 8.380 O
4.924 11.105 10.798 O
4.994 0.969 3.235 O
4.970 4.084 16.950 O
4.972 14.169 1.850 O
5.219 3.718 3.386 O
5.263 1.294 16.883 O
5.247 6.261 9.336 O
5.293 3.831 9.648 O
5.231 13.855 17.302 O
5.282 8.940 2.127 O
5.313 6.242 15.881 O
5.292 8.709 18.398 O
5.287 11.267 8.358 O
5.353 1.205 0.820 O
5.277 13.945 10.799 O
5.341 11.332 1.812 O
5.760 7.795 7.140 O
5.796 2.196 11.915 O
5.822 7.392 4.531 O
5.838 7.820 13.492 O
5.828 12.785 6.112 O
5.901 2.685 14.561 O
5.905 2.722 21.016 O
5.932 2.332 5.591 O
5.879 12.450 13.076 O
5.930 7.342 20.665 O
5.993 12.395 19.644 O
5.999 12.864 22.067 O
6.928 5.321 10.731 O
6.972 4.848 8.318 O
6.974 10.319 3.203 O
6.973 10.350 9.724 O
6.962 14.949 9.438 O
7.023 5.311 17.251 O
7.007 9.868 0.764 O
7.086 0.294 2.157 O
7.137 4.841 1.793 O
7.088 14.982 15.831 O
7.220 9.951 16.934 O
7.281 0.233 18.406 O
7.618 1.349 6.977 O
7.630 6.438 22.048 O
7.597 11.479 14.524 O
7.606 13.903 4.521 O
7.661 8.947 12.026 O
7.644 11.373 21.021 O
7.705 3.815 13.081 O
7.693 6.241 6.045 O
7.684 8.861 5.587 O
7.715 3.807 19.525 O
7.690 13.801 20.676 O
7.792 1.232 13.471 O
8.025 1.590 4.553 O
8.010 3.526 5.944 O
7.983 8.628 20.985 O
7.978 13.633 13.472 O
7.997 11.710 12.101 O
8.036 6.498 13.042 O
8.032 6.646 19.630 O
8.069 11.579 5.559 O
8.084 13.831 7.154 O
8.155 1.354 20.686 O
8.150 3.594 22.127 O
8.140 8.688 14.631 O


Ba6Sr11I34 GGA-PBE optimized geometry; energy = -166.6 eV/cell; ρ = 3951 kg/m3; space-group type = P-1, No. 2; DFT formation energy = -1.9141 eV per atom; V = 2565 Å³/cell
1.0
11.954 0.000 0.000
4.998 14.644 0.000
5.295 0.643 14.651
Ba Sr I
6 11 34
Cartesian
4.429 6.908 3.074 Ba
8.062 2.998 14.586 Ba
10.700 12.597 9.995 Ba
11.547 2.690 4.655 Ba
14.185 12.290 0.065 Ba
17.819 8.379 11.576 Ba
7.499 11.130 4.580 Sr
7.336 3.771 9.181 Sr
10.551 7.858 12.030 Sr
5.359 0.333 4.329 Sr
13.632 11.685 14.379 Sr
11.124 7.644 7.325 Sr
8.615 3.602 0.272 Sr
16.888 14.955 10.322 Sr
11.696 7.429 2.621 Sr
14.911 11.517 5.469 Sr
14.748 4.158 10.070 Sr
5.260 9.087 5.836 I
8.433 9.743 13.553 I
5.088 1.945 10.661 I
2.793 2.306 3.518 I
10.990 13.527 13.594 I
7.956 5.702 11.878 I
9.120 13.052 6.795 I
9.008 9.293 9.414 I
6.864 9.140 1.963 I
9.023 12.842 2.284 I
5.899 5.576 0.121 I
6.901 1.846 6.618 I
9.117 1.885 11.272 I
6.089 1.802 1.419 I
9.210 5.101 6.878 I
12.798 10.187 11.655 I
10.299 9.416 4.718 I
11.948 5.871 9.932 I
9.450 5.100 2.996 I
13.037 10.186 7.773 I
16.159 13.485 13.232 I
13.130 13.403 3.379 I
15.347 13.442 8.033 I
16.348 9.712 14.530 I
13.224 2.445 12.367 I
15.383 6.148 12.687 I
13.240 5.994 5.236 I
13.127 2.236 7.855 I
14.292 9.586 2.773 I
11.257 1.761 1.057 I
19.455 12.981 11.132 I
17.159 13.342 3.990 I
13.814 5.544 1.098 I
16.987 6.200 8.815 I


ZrWN3 GGA-PBE optimized geometry; energy = -201.1 eV/cell; ρ = 7716 kg/m3; space-group type = P-1, No. 2; DFT formation energy = -0.9664 eV per atom; V = 273 Å³/cell
1.0
5.751 0.000 0.000
-0.293 6.374 0.000
-0.590 -2.482 7.447
Zr W N
4 4 12
Cartesian
0.183 1.634 0.245 Zr
1.644 0.903 4.905 Zr
3.224 2.989 2.542 Zr
4.685 2.258 7.202 Zr
0.292 4.184 3.095 W
2.610 0.009 1.315 W
2.258 3.883 6.132 W
4.576 -0.292 4.352 W
-0.211 0.512 6.027 N
0.689 -0.304 3.468 N
0.488 3.744 6.986 N
1.336 3.116 4.220 N
1.777 1.735 1.513 N
1.917 4.589 1.833 N
2.951 -0.697 5.613 N
3.091 2.157 5.933 N
3.532 0.776 3.227 N
4.380 0.148 0.460 N
4.179 4.196 3.979 N
5.079 3.380 1.419 N


> The lowest energy belongs to which entry?

Na2Nb5Al3Si6S6O48